246
Lattice="9.036 0.000 0.000 0.032 15.606 0.000 0.019 0.015 22.177" Properties=species:S:1:pos:R:3 comment="Na14Mg6Ti2Si5S7O48 (PBE-GGA, relaxed)" rho_g_cm3=2.70 sg="No. 1" formation_enthalpy_0k_mev_per_atom=-2533 total_energy_ev_per_atom=-6.247 pbc="T T T"
Na 0.000 0.000 0.000
Na 0.028 10.620 7.532
Na 0.048 5.230 14.933
Na 1.223 2.571 12.983
Na 1.249 13.044 9.180
Na 1.237 2.719 1.781
Na 1.266 7.804 16.795
Na 1.323 13.173 20.468
Na 1.320 7.789 5.476
Na 2.350 5.337 3.910
Na 2.629 10.568 18.618
Na 2.718 4.964 11.056
Na 2.884 15.445 18.442
Na 2.852 0.355 3.703
Na 2.934 10.116 3.888
Na 2.947 5.282 18.589
Na 3.977 2.306 15.044
Na 3.996 13.143 7.452
Na 4.064 7.638 7.216
Na 4.108 8.168 15.069
Na 4.169 12.901 22.138
Na 4.315 2.717 7.450
Na 4.575 13.173 15.089
Na 5.630 15.599 16.725
Na 5.671 15.599 5.613
Na 5.672 5.253 9.277
Na 5.683 10.411 1.851
Na 5.697 5.210 20.299
Na 5.763 10.676 12.990
Na 6.884 13.062 3.728
Na 6.898 2.754 18.703
Na 7.010 7.824 11.113
Na 7.232 7.539 18.701
Na 7.314 13.318 18.481
Na 7.340 8.032 3.806
Na 7.420 2.454 3.687
Na 7.440 2.993 11.160
Na 8.506 10.829 0.072
Na 8.550 10.306 14.882
Na 8.612 0.227 14.983
Na 8.652 5.431 7.273
Na 8.759 15.331 7.543
Mg 1.192 13.142 1.409
Mg 1.209 7.833 13.270
Mg 1.223 7.789 2.357
Mg 1.235 13.063 6.125
Mg 1.277 13.168 17.069
Mg 1.266 2.672 9.676
Mg 1.262 2.758 5.296
Mg 1.297 2.730 20.781
Mg 1.320 2.653 16.486
Mg 5.586 10.473 5.314
Mg 5.639 10.501 20.771
Mg 5.633 0.019 2.061
Mg 5.645 5.325 5.923
Mg 5.681 10.628 9.631
Mg 5.689 10.575 16.449
Mg 5.718 15.595 13.466
Mg 5.724 5.248 17.259
Mg 5.787 5.274 12.595
Ti 1.105 13.183 12.701
Ti 1.227 7.777 8.854
Ti 1.338 7.725 19.941
Ti 5.555 15.563 20.058
Ti 5.634 15.523 8.844
Ti 5.832 5.347 1.603
Si 2.469 0.414 7.451
Si 2.558 15.440 14.891
Si 2.601 4.947 7.521
Si 2.944 0.130 0.186
Si 3.049 10.430 7.496
Si 3.901 2.624 18.562
Si 4.339 12.778 18.579
Si 4.386 7.617 3.797
Si 4.449 8.222 18.535
Si 7.047 13.310 0.101
Si 7.074 12.709 7.434
Si 7.565 13.048 14.955
Si 8.404 5.240 3.872
Si 8.892 5.525 11.202
Si 8.921 4.904 18.535
S 2.501 10.770 14.810
S 2.502 10.084 0.112
S 2.547 5.567 0.121
S 3.103 5.307 14.809
S 3.841 13.071 3.768
S 3.868 7.896 11.198
S 4.385 13.354 11.200
S 4.408 2.323 11.206
S 4.432 2.979 3.761
S 6.996 2.392 0.110
S 7.040 3.001 14.837
S 7.065 7.567 14.847
S 7.063 8.175 7.535
S 7.546 2.640 7.511
S 7.613 7.835 0.097
S 8.328 0.049 11.190
S 8.417 10.445 18.580
S 8.876 0.373 18.568
S 8.909 15.366 3.795
S 8.918 10.176 11.190
S 8.924 10.802 3.758
O 0.095 3.941 19.786
O 0.101 1.183 17.346
O 0.120 14.520 4.990
O 0.129 1.252 11.071
O 0.170 9.364 12.409
O 0.158 11.628 2.556
O 0.172 14.414 11.283
O 0.236 6.577 9.919
O 0.260 11.618 18.431
O 0.243 6.592 3.643
O 0.258 9.207 18.723
O 0.250 3.863 3.817
O 0.419 1.002 19.777
O 0.437 14.730 2.584
O 0.442 9.503 9.984
O 0.467 14.618 18.474
O 0.487 9.436 3.632
O 0.491 11.417 4.967
O 0.477 1.102 3.923
O 0.504 11.524 11.285
O 0.493 4.024 11.048
O 0.532 6.207 12.506
O 0.608 6.486 18.845
O 0.647 4.466 17.155
O 1.717 1.251 14.836
O 1.735 1.082 8.701
O 1.832 14.510 13.602
O 1.808 4.439 6.196
O 1.867 11.433 0.186
O 1.881 9.402 14.649
O 1.888 6.498 7.723
O 1.910 9.448 21.070
O 1.910 4.286 22.169
O 1.908 1.357 22.165
O 1.925 11.322 16.052
O 2.000 6.260 1.295
O 2.017 9.101 7.797
O 2.022 14.482 7.314
O 2.061 11.707 7.332
O 2.169 9.292 1.310
O 2.191 11.648 13.638
O 2.200 14.285 0.139
O 2.225 4.113 14.866
O 2.264 6.446 21.057
O 2.254 6.561 14.741
O 2.367 14.489 16.165
O 2.350 4.086 8.857
O 2.468 1.322 6.101
O 2.712 12.952 18.468
O 2.732 8.080 18.832
O 2.785 7.789 3.586
O 2.903 13.249 11.256
O 2.902 2.951 19.764
O 2.949 2.466 11.118
O 2.951 2.850 3.800
O 2.981 7.707 10.006
O 2.994 12.918 2.565
O 2.996 13.221 4.979
O 3.055 8.096 12.414
O 3.099 2.227 17.183
O 3.840 9.979 6.137
O 3.826 0.330 1.520
O 3.946 5.161 13.588
O 3.950 5.466 16.006
O 3.962 10.231 0.019
O 3.976 10.635 14.842
O 4.008 10.683 8.747
O 4.025 5.462 0.168
O 4.081 15.520 21.057
O 4.154 15.604 14.655
O 4.194 0.262 7.771
O 4.220 5.155 7.406
O 4.467 9.114 17.164
O 4.573 11.866 19.888
O 4.568 6.704 5.110
O 4.657 6.615 11.287
O 4.687 14.196 9.950
O 4.703 11.854 3.834
O 4.714 14.294 3.729
O 4.733 3.849 2.588
O 4.762 1.544 12.398
O 4.816 9.018 11.062
O 4.892 3.913 18.407
O 4.918 1.301 18.815
O 4.936 6.690 18.380
O 4.949 14.052 12.361
O 4.976 3.574 5.006
O 5.018 12.039 11.089
O 5.026 3.700 11.272
O 5.026 1.688 9.982
O 5.074 14.292 18.739
O 5.088 12.240 17.231
O 5.079 1.634 3.656
O 5.099 6.683 2.529
O 5.200 8.899 19.768
O 5.200 9.036 3.758
O 6.275 12.242 6.098
O 6.360 14.290 7.754
O 6.346 3.742 0.231
O 6.398 11.824 22.140
O 6.425 13.961 1.455
O 6.441 8.912 14.966
O 6.432 1.648 14.699
O 6.434 3.644 16.017
O 6.449 1.743 21.088
O 6.491 6.945 13.621
O 6.507 8.787 8.754
O 6.507 6.808 7.433
O 6.683 11.668 14.882
O 6.663 1.405 7.653
O 6.662 3.817 7.372
O 6.696 14.397 14.718
O 6.726 14.362 20.987
O 6.739 1.582 1.343
O 6.762 6.597 0.202
O 6.797 9.056 22.155
O 6.790 3.824 13.612
O 6.815 6.714 16.025
O 6.821 8.994 6.321
O 6.891 11.771 8.709
O 7.240 5.460 11.197
O 7.292 5.053 2.564
O 7.350 5.264 18.389
O 7.390 0.251 18.656
O 7.418 15.552 3.701
O 7.429 10.235 11.103
O 7.446 10.658 3.886
O 7.474 5.452 5.175
O 7.474 0.225 12.383
O 7.500 15.492 9.965
O 7.586 10.644 19.781
O 7.597 10.177 17.365
O 8.366 2.845 8.716
O 8.369 2.386 6.302
O 8.464 8.008 1.299
O 8.487 7.680 21.053
O 8.468 2.510 0.006
O 8.515 13.233 16.236
O 8.517 2.862 14.955
O 8.560 7.743 14.743
O 8.579 8.068 7.615
O 8.650 13.046 7.294
O 8.673 12.861 13.629
O 8.682 13.180 0.112